{
  "formula": "Hg2Mo5O16",
  "functional": "GGA+U",
  "state": "optimized geometry",
  "lattice_angstrom": [[9.404, 0.000, 0.000], [0.000, 5.640, 0.000], [-4.841, 0.000, 13.745]],
  "species": ["Hg", "Hg", "Hg", "Hg", "Mo", "Mo", "Mo", "Mo", "Mo", "Mo", "Mo", "Mo", "Mo", "Mo", "O", "O", "O", "O", "O", "O", "O", "O", "O", "O", "O", "O", "O", "O", "O", "O", "O", "O", "O", "O", "O", "O", "O", "O", "O", "O", "O", "O", "O", "O", "O", "O"],
  "frac_coords": [[0.089, 0.228, 0.198], [0.089, 0.772, 0.698], [0.911, 0.228, 0.302], [0.911, 0.772, 0.802], [0.268, 0.223, 0.571], [0.268, 0.777, 0.071], [0.371, 0.324, 0.913], [0.371, 0.676, 0.413], [0.500, 0.125, 0.250], [0.500, 0.875, 0.750], [0.629, 0.324, 0.587], [0.629, 0.676, 0.087], [0.732, 0.223, 0.929], [0.732, 0.777, 0.429], [0.098, 0.169, 0.479], [0.098, 0.831, 0.979], [0.195, 0.357, 0.827], [0.195, 0.643, 0.327], [0.221, 0.456, 0.634], [0.221, 0.544, 0.134], [0.288, 0.038, 0.166], [0.288, 0.962, 0.666], [0.345, 0.094, 0.987], [0.345, 0.906, 0.487], [0.380, 0.402, 0.500], [0.380, 0.598, 0.000], [0.438, 0.318, 0.323], [0.438, 0.682, 0.823], [0.489, 0.177, 0.845], [0.489, 0.823, 0.345], [0.511, 0.177, 0.655], [0.511, 0.823, 0.155], [0.562, 0.318, 0.177], [0.562, 0.682, 0.677], [0.620, 0.402, 0.000], [0.620, 0.598, 0.500], [0.655, 0.094, 0.513], [0.655, 0.906, 0.013], [0.712, 0.038, 0.334], [0.712, 0.962, 0.834], [0.779, 0.456, 0.866], [0.779, 0.544, 0.366], [0.805, 0.357, 0.673], [0.805, 0.643, 0.173], [0.902, 0.169, 0.021], [0.902, 0.831, 0.521]],
  "formation_enthalpy_0k_ev_per_atom": -1.732
}

=====

{
  "formula": "UHgMo4O16",
  "functional": "GGA+U",
  "state": "optimized geometry",
  "lattice_angstrom": [[8.439, 0.000, 0.000], [0.000, 6.727, 0.000], [-8.326, 0.000, 11.653]],
  "species": ["U", "U", "Hg", "Hg", "Mo", "Mo", "Mo", "Mo", "Mo", "Mo", "Mo", "Mo", "O", "O", "O", "O", "O", "O", "O", "O", "O", "O", "O", "O", "O", "O", "O", "O", "O", "O", "O", "O", "O", "O", "O", "O", "O", "O", "O", "O", "O", "O", "O", "O"],
  "frac_coords": [[0.000, 0.197, 0.250], [0.000, 0.803, 0.750], [0.500, 0.194, 0.250], [0.500, 0.806, 0.750], [0.203, 0.334, 0.907], [0.203, 0.666, 0.407], [0.300, 0.331, 0.596], [0.300, 0.669, 0.096], [0.700, 0.331, 0.904], [0.700, 0.669, 0.404], [0.797, 0.334, 0.593], [0.797, 0.666, 0.093], [0.000, 0.441, 0.750], [0.000, 0.559, 0.250], [0.094, 0.347, 0.597], [0.094, 0.653, 0.097], [0.128, 0.078, 0.871], [0.128, 0.922, 0.371], [0.185, 0.350, 0.433], [0.185, 0.650, 0.933], [0.214, 0.201, 0.247], [0.214, 0.799, 0.747], [0.314, 0.354, 0.063], [0.314, 0.646, 0.563], [0.363, 0.079, 0.623], [0.363, 0.921, 0.123], [0.405, 0.343, 0.903], [0.405, 0.657, 0.403], [0.500, 0.434, 0.750], [0.500, 0.566, 0.250], [0.595, 0.343, 0.597], [0.595, 0.657, 0.097], [0.637, 0.079, 0.877], [0.637, 0.921, 0.377], [0.686, 0.354, 0.437], [0.686, 0.646, 0.937], [0.786, 0.201, 0.253], [0.786, 0.799, 0.753], [0.815, 0.350, 0.067], [0.815, 0.650, 0.567], [0.872, 0.078, 0.629], [0.872, 0.922, 0.129], [0.906, 0.347, 0.903], [0.906, 0.653, 0.403]],
  "formation_enthalpy_0k_ev_per_atom": -2.125
}

=====

{
  "formula": "NiHgO2",
  "functional": "GGA+U",
  "state": "optimized geometry",
  "lattice_angstrom": [[-2.375, 2.538, -4.337], [1.991, -4.731, -3.859], [-3.366, -6.236, 0.566]],
  "species": ["O", "O", "O", "O", "O", "O", "O", "O", "Ni", "Ni", "Ni", "Ni", "Hg", "Hg", "Hg", "Hg"],
  "frac_coords": [[0.611, 0.083, 0.333], [0.111, 0.833, 0.333], [0.389, 0.917, 0.667], [0.889, 0.667, 0.667], [0.111, 0.333, 0.333], [0.611, 0.583, 0.333], [0.389, 0.417, 0.667], [0.889, 0.167, 0.667], [0.500, 0.750, 0.500], [0.000, 0.000, 0.500], [0.500, 0.250, 0.500], [0.000, 0.500, 0.500], [0.000, 0.000, 0.000], [0.500, 0.750, 0.000], [0.000, 0.500, 0.000], [0.500, 0.250, 0.000]],
  "formation_enthalpy_0k_ev_per_atom": -0.913
}

=====

{
  "formula": "HgWO4",
  "functional": "GGA+U",
  "state": "optimized geometry",
  "lattice_angstrom": [[3.735, -7.679, 0.000], [3.735, 7.679, 0.000], [0.000, 0.000, 5.306]],
  "species": ["Hg", "Hg", "Hg", "Hg", "W", "W", "W", "W", "O", "O", "O", "O", "O", "O", "O", "O", "O", "O", "O", "O", "O", "O", "O", "O"],
  "frac_coords": [[0.071, 0.429, 0.250], [0.429, 0.071, 0.750], [0.571, 0.929, 0.250], [0.929, 0.571, 0.750], [0.082, 0.918, 0.305], [0.418, 0.582, 0.805], [0.582, 0.418, 0.195], [0.918, 0.082, 0.695], [0.081, 0.919, 0.964], [0.112, 0.388, 0.750], [0.154, 0.154, 0.500], [0.185, 0.815, 0.535], [0.315, 0.685, 0.035], [0.346, 0.346, 0.000], [0.388, 0.112, 0.250], [0.419, 0.581, 0.464], [0.581, 0.419, 0.536], [0.612, 0.888, 0.750], [0.654, 0.654, 0.000], [0.685, 0.315, 0.965], [0.815, 0.185, 0.465], [0.846, 0.846, 0.500], [0.888, 0.612, 0.250], [0.919, 0.081, 0.036]],
  "formation_enthalpy_0k_ev_per_atom": -1.409
}

=====

Repeat the third record exactly.
{
  "formula": "NiHgO2",
  "functional": "GGA+U",
  "state": "optimized geometry",
  "lattice_angstrom": [[-2.375, 2.538, -4.337], [1.991, -4.731, -3.859], [-3.366, -6.236, 0.566]],
  "species": ["O", "O", "O", "O", "O", "O", "O", "O", "Ni", "Ni", "Ni", "Ni", "Hg", "Hg", "Hg", "Hg"],
  "frac_coords": [[0.611, 0.083, 0.333], [0.111, 0.833, 0.333], [0.389, 0.917, 0.667], [0.889, 0.667, 0.667], [0.111, 0.333, 0.333], [0.611, 0.583, 0.333], [0.389, 0.417, 0.667], [0.889, 0.167, 0.667], [0.500, 0.750, 0.500], [0.000, 0.000, 0.500], [0.500, 0.250, 0.500], [0.000, 0.500, 0.500], [0.000, 0.000, 0.000], [0.500, 0.750, 0.000], [0.000, 0.500, 0.000], [0.500, 0.250, 0.000]],
  "formation_enthalpy_0k_ev_per_atom": -0.913
}